1.
Crystalline LiCu5F12 at its relaxed geometry. Source: the Materials Project database, functional meta-GGA r2SCAN.

Calculated values
Its uncorrected energy is -7.170 eV/atom. As for the formation energy: -3369 kJ/mol of formula units.

Unit cell a=6.6741 b=6.7521 c=8.8267 alpha=90.00 beta=90.00 gamma=90.00
Space group Cmmm (No. 65)
Unique sites:
Li 0.0000 0.0000 0.0000 x2
Cu 0.0000 0.0000 0.3281 x4
Cu 0.0000 0.5000 0.1640 x4
Cu 0.0000 0.5000 0.5000 x2
F 0.0000 0.3117 0.0000 x4
F 0.0000 0.3120 0.3335 x8
F 0.1867 0.0000 0.5000 x4
F 0.1939 0.0000 0.1721 x8

***

2.
Crystalline Tb2BiO2 at its relaxed geometry. Source: the Materials Project database, functional meta-GGA r2SCAN.

Calculated values
Its uncorrected energy is -29.554 eV/atom. As for the formation energy: -1435 kJ/mol of formula units.

Unit cell a=3.8792 b=3.8792 c=13.5276 alpha=90.00 beta=90.00 gamma=90.00
Space group I4/mmm (No. 139)
Unique sites:
Tb 0.0000 0.0000 0.1678 x4
Bi 0.0000 0.0000 0.5000 x2
O 0.0000 0.5000 0.2500 x4

***

3.
Crystalline WF5 at its relaxed geometry. Source: the Materials Project database, functional meta-GGA r2SCAN.

Calculated values
Its uncorrected energy is -13.759 eV/atom. As for the formation energy: -1501 kJ/mol of formula units.

Unit cell a=5.0892 b=9.7653 c=7.8103 alpha=90.00 beta=113.38 gamma=90.00
Space group P2_1/c (No. 14)
Unique sites:
W 0.1229 0.2472 0.4008 x4
F 0.0859 0.5885 0.1922 x4
F 0.1173 0.2029 0.6519 x4
F 0.2248 0.6572 0.6582 x4
F 0.3367 0.1020 0.0180 x4
F 0.4673 0.1510 0.4508 x4

***

4.
Crystalline CeNiGe2 at its relaxed geometry. Source: the Materials Project database, functional meta-GGA r2SCAN.

Calculated values
Its uncorrected energy is -18.418 eV/atom. As for the formation energy: -300 kJ/mol of formula units.

Unit cell a=4.2420 b=16.6696 c=4.2216 alpha=90.00 beta=90.00 gamma=90.00
Space group Cmcm (No. 63)
Unique sites:
Ce 0.0000 0.1081 0.2500 x4
Ni 0.0000 0.3178 0.2500 x4
Ge 0.0000 0.2506 0.7500 x4
Ge 0.0000 0.4575 0.2500 x4

***

5.
Crystalline Lu2TlHg at its relaxed geometry. Source: the Materials Project database, functional meta-GGA r2SCAN.

Calculated values
Its uncorrected energy is -45.124 eV/atom. As for the formation energy: -173 kJ/mol of formula units.

Unit cell a=7.3130 b=7.3130 c=7.3130 alpha=90.00 beta=90.00 gamma=90.00
Space group Fm-3m (No. 225)
Unique sites:
Lu 0.2500 0.2500 0.2500 x8
Tl 0.0000 0.0000 0.0000 x4
Hg 0.0000 0.0000 0.5000 x4

***

6.
Crystalline La3Zn22 at its relaxed geometry. Source: the Materials Project database, functional meta-GGA r2SCAN.

Calculated values
Its uncorrected energy is -11.720 eV/atom. As for the formation energy: -746 kJ/mol of formula units.

Unit cell a=12.5488 b=12.5394 c=12.3233 alpha=90.00 beta=120.52 gamma=90.00
Space group C2/c (No. 15)
Unique sites:
La 0.0000 0.1251 0.2500 x4
La 0.1216 0.3749 0.9930 x8
Zn 0.0000 0.0000 0.0000 x4
Zn 0.0522 0.3698 0.3769 x8
Zn 0.0649 0.1996 0.5291 x8
Zn 0.0748 0.1199 0.8771 x8
Zn 0.1116 0.4889 0.7456 x8
Zn 0.1161 0.2612 0.7542 x8
Zn 0.1676 0.0522 0.7312 x8
Zn 0.1812 0.1362 0.1229 x8
Zn 0.1864 0.3021 0.2689 x8
Zn 0.1916 0.3862 0.6229 x8
Zn 0.2143 0.0504 0.5291 x8
Zn 0.2500 0.2500 0.5000 x4